NaNb6S8 | r2SCAN | relaxed

Cell: 9.6527 9.6527 3.4204 Å, 90.00 90.00 120.00°
Last column: nearest neighbours and their distance in Å.
Element x y z (fractional)
S1 0.3333 0.6667 0.7502  6 Nb 2.62
S2 0.0560 0.7151 0.2492  4 Nb 2.48-2.68
S3 0.9440 0.2849 0.7508  4 Nb 2.48-2.68
S4 0.2849 0.3410 0.2492  4 Nb 2.48-2.68
Na1 0.0000 0.0000 0.5000  6 S 3.18, 2 Na 3.42
Nb1 0.6233 0.1100 0.7497  6 S 2.48-2.68
Nb2 0.1100 0.4867 0.2503  6 S 2.48-2.68
S5 0.3410 0.0560 0.7508  4 Nb 2.48-2.68
S6 0.6667 0.3333 0.2498  6 Nb 2.62
Nb3 0.5133 0.6233 0.2503  6 S 2.48-2.68
Nb4 0.3767 0.8900 0.2503  6 S 2.48-2.68
Nb5 0.8900 0.5133 0.7497  6 S 2.48-2.68
S7 0.7151 0.6590 0.7508  4 Nb 2.48-2.68
S8 0.6590 0.9440 0.2492  4 Nb 2.48-2.68
Nb6 0.4867 0.3767 0.7497  6 S 2.48-2.68

Energy of formation, meV per atom: -1250
Calculated density, g/cm3: 5.04
E_tot, Ry/atom: -1.151